1.
{"formula": "Na5Sc3SnP6O24", "functional": "PBE-GGA", "state": "relaxed", "total_magnetization_mub_per_fu": 0.00, "dft_energy_ev_per_atom": -7.149, "space_group": "P1, No. 1", "e_form_ev_per_atom": -2.94, "lattice_angstrom": [[8.970, 0.000, 0.000], [4.478, 7.776, 0.000], [0.015, 0.010, 22.686]], "species": ["Na", "Na", "Na", "Na", "Na", "Na", "Na", "Na", "Na", "Na", "Na", "Na", "Na", "Na", "Na", "Sc", "Sc", "Sc", "Sc", "Sc", "Sc", "Sc", "Sc", "Sc", "Sn", "Sn", "Sn", "P", "P", "P", "P", "P", "P", "P", "P", "P", "P", "P", "P", "P", "P", "P", "P", "P", "P", "O", "O", "O", "O", "O", "O", "O", "O", "O", "O", "O", "O", "O", "O", "O", "O", "O", "O", "O", "O", "O", "O", "O", "O", "O", "O", "O", "O", "O", "O", "O", "O", "O", "O", "O", "O", "O", "O", "O", "O", "O", "O", "O", "O", "O", "O", "O", "O", "O", "O", "O", "O", "O", "O", "O", "O", "O", "O", "O", "O", "O", "O", "O", "O", "O", "O", "O", "O", "O", "O", "O", "O"], "fractional_positions": [[0.000, 0.000, 0.000], [0.000, 0.349, 0.761], [0.009, 0.717, 0.506], [0.016, 0.349, 0.262], [0.332, 0.330, 0.674], [0.335, 0.696, 0.915], [0.336, 0.711, 0.420], [0.364, 0.363, 0.000], [0.639, 0.367, 0.505], [0.639, 0.726, 0.001], [0.654, 0.030, 0.090], [0.669, 0.030, 0.592], [0.701, 0.697, 0.674], [0.704, 0.330, 0.174], [0.966, 0.697, 0.174], [0.001, 0.364, 0.899], [0.002, 0.361, 0.401], [0.003, 0.353, 0.606], [0.009, 0.356, 0.107], [0.332, 0.706, 0.570], [0.335, 0.699, 0.072], [0.661, 0.030, 0.240], [0.668, 0.030, 0.933], [0.675, 0.030, 0.740], [0.332, 0.699, 0.775], [0.334, 0.698, 0.276], [0.662, 0.029, 0.435], [0.000, 0.657, 0.006], [0.041, 0.695, 0.670], [0.041, 0.990, 0.172], [0.296, 0.070, 0.004], [0.299, 0.358, 0.505], [0.333, 0.991, 0.673], [0.334, 0.405, 0.172], [0.370, 0.331, 0.837], [0.372, 0.026, 0.338], [0.626, 0.406, 0.671], [0.629, 0.695, 0.171], [0.664, 0.329, 0.337], [0.665, 0.731, 0.837], [0.708, 0.362, 0.006], [0.709, 0.659, 0.505], [0.967, 0.734, 0.338], [0.970, 0.026, 0.839], [0.997, 0.069, 0.502], [0.013, 0.174, 0.169], [0.019, 0.155, 0.448], [0.024, 0.531, 0.667], [0.031, 0.538, 0.954], [0.123, 0.718, 0.614], [0.123, 0.882, 0.116], [0.147, 0.720, 0.335], [0.149, 0.859, 0.835], [0.150, 0.883, 0.509], [0.155, 0.903, 0.227], [0.162, 0.661, 0.724], [0.162, 0.679, 0.011], [0.169, 0.392, 0.168], [0.177, 0.174, 0.667], [0.180, 0.154, 0.951], [0.182, 0.386, 0.453], [0.190, 0.351, 0.842], [0.195, 0.186, 0.343], [0.214, 0.182, 0.060], [0.223, 0.333, 0.563], [0.299, 0.526, 0.226], [0.304, 0.910, 0.729], [0.317, 0.887, 0.011], [0.322, 0.520, 0.509], [0.356, 0.511, 0.834], [0.356, 0.861, 0.334], [0.361, 0.486, 0.116], [0.364, 0.874, 0.620], [0.460, 0.226, 0.781], [0.464, 0.045, 0.284], [0.478, 0.048, 0.999], [0.478, 0.246, 0.893], [0.482, 0.993, 0.395], [0.487, 0.198, 0.499], [0.498, 0.007, 0.678], [0.498, 0.509, 0.334], [0.498, 0.717, 0.834], [0.500, 0.229, 0.178], [0.517, 0.487, 0.615], [0.525, 0.524, 0.011], [0.525, 0.719, 0.115], [0.529, 0.677, 0.510], [0.541, 0.527, 0.725], [0.542, 0.661, 0.225], [0.636, 0.230, 0.678], [0.637, 0.247, 0.395], [0.643, 0.839, 0.893], [0.655, 0.852, 0.177], [0.680, 0.821, 0.781], [0.681, 0.222, 0.282], [0.687, 0.200, 0.000], [0.699, 0.839, 0.498], [0.798, 0.392, 0.954], [0.800, 0.542, 0.452], [0.804, 0.392, 0.666], [0.810, 0.531, 0.168], [0.814, 0.334, 0.064], [0.817, 0.583, 0.562], [0.824, 0.347, 0.342], [0.824, 0.552, 0.842], [0.829, 0.053, 0.498], [0.838, 0.839, 0.000], [0.858, 0.042, 0.786], [0.858, 0.852, 0.677], [0.859, 0.825, 0.282], [0.861, 0.005, 0.177], [0.885, 0.843, 0.395], [0.889, 0.003, 0.897], [0.963, 0.182, 0.557], [0.973, 0.579, 0.064], [0.984, 0.556, 0.343], [0.989, 0.186, 0.843]]}

***

2.
{"formula": "FeTc2Cl", "functional": "PBE-GGA", "state": "relaxed", "total_magnetization_mub_per_fu": 1.03, "dft_energy_ev_per_atom": -6.970, "space_group": "Fm-3m, No. 225", "e_form_ev_per_atom": 0.64, "lattice_angstrom": [[5.998, 0.000, 0.000], [0.000, 5.998, 0.000], [0.000, 0.000, 5.998]], "species": ["Fe", "Fe", "Fe", "Fe", "Tc", "Tc", "Tc", "Tc", "Tc", "Tc", "Tc", "Tc", "Cl", "Cl", "Cl", "Cl"], "fractional_positions": [[0.000, 0.000, 0.000], [0.000, 0.500, 0.500], [0.500, 0.000, 0.500], [0.500, 0.500, 0.000], [0.250, 0.250, 0.250], [0.250, 0.250, 0.750], [0.250, 0.750, 0.250], [0.250, 0.750, 0.750], [0.750, 0.250, 0.250], [0.750, 0.250, 0.750], [0.750, 0.750, 0.250], [0.750, 0.750, 0.750], [0.000, 0.000, 0.500], [0.000, 0.500, 0.000], [0.500, 0.000, 0.000], [0.500, 0.500, 0.500]]}